Record 1
Density functional theory data (GGA+U) for a geometry-optimized Li4MnFe2B4O12 structure.

Cell lengths 5.2916, 9.0067, 11.2020 Å; angles 90.00, 117.29, 90.00 degrees
With the nearest neighbours (Å) after each atom.
Space group Pc (No. 7)
Symmetry-distinct sites (fractional):
Li: 0.0000 0.0916 0.0000 [2 per cell]  4 O 2.01-2.07
Li: 0.3918 0.2647 0.1993 [2 per cell]  4 O 1.97-2.15
Li: 0.8974 0.3947 0.2146 [2 per cell]  4 O 1.94-2.12
Li: 0.9538 0.2294 0.4491 [2 per cell]  4 O 1.98-2.12
Mn: 0.9863 0.2778 0.7810 [2 per cell]  4 O 2.05-2.11
Fe: 0.4374 0.0645 0.7384 [2 per cell]  5 O 1.97-2.08
Fe: 0.4821 0.4264 0.4813 [2 per cell]  4 O 1.89-2.08
B: 0.0037 0.4329 0.9929 [2 per cell]  3 O 1.38-1.40
B: 0.4352 0.4156 0.7405 [2 per cell]  3 O 1.39-1.40
B: 0.4939 0.0900 0.4844 [2 per cell]  3 O 1.39-1.41
B: 0.9183 0.0805 0.2357 [2 per cell]  3 O 1.36-1.42
O: 0.1049 0.4335 0.4675 [2 per cell]  1 B 1.40
O: 0.1264 0.2995 0.9875 [2 per cell]  1 B 1.38
O: 0.1408 0.0876 0.2010 [2 per cell]  1 B 1.40
O: 0.2936 0.0750 0.5322 [2 per cell]  1 B 1.40
O: 0.3240 0.4615 0.2760 [2 per cell]  1 B 1.39
O: 0.3313 0.2740 0.7439 [2 per cell]  1 B 1.40
O: 0.5826 0.0275 0.9326 [2 per cell]  1 B 1.39
O: 0.6172 0.2289 0.4861 [2 per cell]  1 B 1.41
O: 0.6481 0.4312 0.7014 [2 per cell]  1 B 1.39
O: 0.7783 0.4346 0.0227 [2 per cell]  1 B 1.38
O: 0.7848 0.2023 0.2509 [2 per cell]  1 B 1.36
O: 0.8322 0.0615 0.7583 [2 per cell]  1 B 1.42

Output
**Total moment**: 0.6522 μB/atom
**MP2020-corrected energy**: -7.61 eV/atom
**Calculated formation energy**: -2.402 eV/atom

Record 2
Density functional theory data (GGA+U) for a geometry-optimized Li4Mn3FeB4O12 structure.

Cell lengths 5.2385, 5.2510, 20.9309 Å; angles 91.11, 90.76, 119.79 degrees
With the nearest neighbours (Å) after each atom.
Space group P1 (No. 1)
Symmetry-distinct sites (fractional):
Li: 0.0000 0.0000 0.0000 [1 per cell]  4 O 1.94-2.08
Li: 0.9999 0.0003 0.5000 [1 per cell]  4 O 1.95-2.09
Li: 0.0104 0.9914 0.7503 [1 per cell]  4 O 1.95-2.09
Li: 0.0134 0.9904 0.2499 [1 per cell]  4 O 1.97-2.06
Li: 0.6700 0.6856 0.3751 [1 per cell]  4 O 1.91-2.07
Li: 0.6700 0.6870 0.8747 [1 per cell]  4 O 1.91-2.05
Li: 0.6967 0.6599 0.6247 [1 per cell]  4 O 1.93-2.04
Li: 0.6977 0.6594 0.1250 [1 per cell]  4 O 1.91-2.05
Mn: 0.0240 0.3363 0.1431 [1 per cell]  5 O 2.09-2.29
Mn: 0.3421 0.6648 0.5176 [1 per cell]  5 O 2.09-2.31
Mn: 0.3448 0.6676 0.0173 [1 per cell]  5 O 2.09-2.30
Mn: 0.3462 0.0149 0.8921 [1 per cell]  5 O 2.09-2.28
Mn: 0.3482 0.0166 0.3917 [1 per cell]  5 O 2.10-2.29
Mn: 0.6791 0.3343 0.7662 [1 per cell]  5 O 2.09-2.30
Fe: 0.0309 0.3331 0.6425 [1 per cell]  5 O 2.01-2.25
Fe: 0.6729 0.3379 0.2674 [1 per cell]  4 O 2.01-2.23
B: 0.0073 0.3410 0.8957 [1 per cell]  3 O 1.38-1.40
B: 0.0081 0.3417 0.3952 [1 per cell]  3 O 1.39-1.40
B: 0.3428 0.6701 0.2706 [1 per cell]  3 O 1.40
B: 0.3451 0.6729 0.7702 [1 per cell]  3 O 1.38-1.40
B: 0.3510 0.9976 0.1465 [1 per cell]  3 O 1.38-1.40
B: 0.3520 0.9990 0.6456 [1 per cell]  3 O 1.39-1.40
B: 0.6823 0.3324 0.5216 [1 per cell]  3 O 1.38-1.40
B: 0.6831 0.3335 0.0209 [1 per cell]  3 O 1.38-1.40
O: 0.0754 0.9682 0.1534 [1 per cell]  1 B 1.38
O: 0.0772 0.9779 0.6525 [1 per cell]  1 B 1.40
O: 0.0941 0.4064 0.2515 [1 per cell]  1 B 1.40
O: 0.1027 0.4085 0.7491 [1 per cell]  1 B 1.39
O: 0.2791 0.5915 0.9108 [1 per cell]  1 B 1.40
O: 0.2792 0.5920 0.4106 [1 per cell]  1 B 1.40
O: 0.3111 0.9157 0.7855 [1 per cell]  1 B 1.40
O: 0.3218 0.9197 0.2850 [1 per cell]  1 B 1.40
O: 0.3709 0.7535 0.6268 [1 per cell]  1 B 1.39
O: 0.3822 0.7603 0.1257 [1 per cell]  1 B 1.40
O: 0.4184 0.0899 0.5002 [1 per cell]  1 B 1.39
O: 0.4182 0.0909 0.9998 [1 per cell]  1 B 1.40
O: 0.6013 0.2690 0.1619 [1 per cell]  1 B 1.40
O: 0.6067 0.2676 0.6594 [1 per cell]  1 B 1.40
O: 0.6164 0.6874 0.2769 [1 per cell]  1 B 1.40
O: 0.6190 0.6971 0.7778 [1 per cell]  1 B 1.38
O: 0.7073 0.6067 0.5284 [1 per cell]  1 B 1.38
O: 0.7080 0.6074 0.0282 [1 per cell]  1 B 1.38
O: 0.7702 0.3720 0.3746 [1 per cell]  1 B 1.40
O: 0.7699 0.3720 0.8750 [1 per cell]  1 B 1.40
O: 0.9262 0.3000 0.0363 [1 per cell]  1 B 1.40
O: 0.9259 0.2997 0.5371 [1 per cell]  1 B 1.40
O: 0.9773 0.0661 0.9030 [1 per cell]  1 B 1.38
O: 0.9781 0.0666 0.4025 [1 per cell]  1 B 1.39

Output
**Total moment**: 0.7917 μB/atom
**MP2020-corrected energy**: -7.87 eV/atom
**Calculated formation energy**: -2.463 eV/atom
**Relative energy among the computed polymorphs**: 0.003 eV/f.u.

Record 3
Density functional theory data (GGA+U) for a geometry-optimized Li2MnFeB2O6 structure.

Cell lengths 8.2623, 3.1625, 14.2992 Å; angles 90.00, 90.18, 90.00 degrees
With the nearest neighbours (Å) after each atom.
Space group Pm (No. 6)
Symmetry-distinct sites (fractional):
Li: 0.0000 0.0000 0.0000 [1 per cell]  4 O 1.97-2.01
Li: 0.0252 0.0000 0.2917 [1 per cell]  4 O 1.99-2.01
Li: 0.0730 0.0000 0.6590 [1 per cell]  4 O 1.99-2.01
Li: 0.4984 0.0000 0.4988 [1 per cell]  4 O 1.96-2.02
Li: 0.5230 0.0000 0.7932 [1 per cell]  4 O 1.99-2.01
Li: 0.5731 0.0000 0.1590 [1 per cell]  4 O 1.98-2.02
Mn: 0.1737 0.5000 0.4698 [1 per cell]  5 O 2.10-2.19
Mn: 0.6729 0.5000 0.9696 [1 per cell]  5 O 2.10-2.18
Mn: 0.7310 0.5000 0.6441 [1 per cell]  5 O 2.10-2.19
Fe: 0.1898 0.5000 0.8336 [1 per cell]  5 O 2.04-2.18
Fe: 0.2297 0.5000 0.1457 [1 per cell]  5 O 2.04-2.17
Fe: 0.6896 0.5000 0.3329 [1 per cell]  5 O 2.03-2.18
B: 0.3629 0.0000 0.9839 [1 per cell]  3 O 1.39-1.40
B: 0.3662 0.5000 0.6512 [1 per cell]  3 O 1.39-1.40
B: 0.3666 0.0000 0.3154 [1 per cell]  3 O 1.39
B: 0.8634 0.0000 0.4819 [1 per cell]  3 O 1.39-1.40
B: 0.8677 0.0000 0.8166 [1 per cell]  3 O 1.39
B: 0.8678 0.5000 0.1501 [1 per cell]  3 O 1.39-1.40
O: 0.0064 0.5000 0.2058 [1 per cell]  1 B 1.39
O: 0.0165 0.0000 0.5235 [1 per cell]  1 B 1.40
O: 0.0186 0.0000 0.8601 [1 per cell]  1 B 1.39
O: 0.2124 0.5000 0.6918 [1 per cell]  1 B 1.40
O: 0.2273 0.0000 0.0413 [1 per cell]  1 B 1.39
O: 0.2275 0.0000 0.3696 [1 per cell]  1 B 1.39
O: 0.3462 0.0000 0.8870 [1 per cell]  1 B 1.39
O: 0.3545 0.0000 0.2185 [1 per cell]  1 B 1.39
O: 0.3823 0.5000 0.5543 [1 per cell]  1 B 1.39
O: 0.5027 0.5000 0.7083 [1 per cell]  1 B 1.39
O: 0.5173 0.0000 0.0242 [1 per cell]  1 B 1.40
O: 0.5182 0.0000 0.3582 [1 per cell]  1 B 1.39
O: 0.7150 0.5000 0.1917 [1 per cell]  1 B 1.40
O: 0.7262 0.0000 0.5381 [1 per cell]  1 B 1.39
O: 0.7275 0.0000 0.8699 [1 per cell]  1 B 1.39
O: 0.8476 0.0000 0.3850 [1 per cell]  1 B 1.39
O: 0.8570 0.0000 0.7198 [1 per cell]  1 B 1.39
O: 0.8821 0.5000 0.0534 [1 per cell]  1 B 1.39

Output
**Total moment**: 0.7500 μB/atom
**MP2020-corrected energy**: -7.79 eV/atom
**Calculated formation energy**: -2.418 eV/atom
**Relative energy among the computed polymorphs**: 0.029 eV/f.u.

Record 4
Density functional theory data (GGA+U) for a geometry-optimized Li6MnFe5B6O18 structure.

Cell lengths 16.4758, 6.2766, 8.2449 Å; angles 90.00, 119.90, 90.00 degrees
With the nearest neighbours (Å) after each atom.
Space group Cm (No. 8)
Symmetry-distinct sites (fractional):
Li: 0.0000 0.2491 0.0000 [4 per cell]  4 O 1.98-2.02
Li: 0.1343 0.2502 0.5876 [4 per cell]  4 O 1.97-2.02
Li: 0.2933 0.2504 0.3183 [4 per cell]  4 O 1.98-2.02
Mn: 0.4559 0.0000 0.2890 [2 per cell]  5 O 2.10-2.18
Fe: 0.1459 0.5000 0.9427 [2 per cell]  5 O 2.03-2.17
Fe: 0.1465 0.0000 0.9416 [2 per cell]  5 O 2.03-2.17
Fe: 0.3224 0.0000 0.6698 [2 per cell]  5 O 2.03-2.17
Fe: 0.3221 0.5000 0.6695 [2 per cell]  5 O 2.03-2.17
Fe: 0.4584 0.5000 0.2942 [2 per cell]  5 O 2.03-2.17
B: 0.1424 0.0000 0.3020 [2 per cell]  3 O 1.39
B: 0.1434 0.5000 0.3040 [2 per cell]  3 O 1.39
B: 0.3085 0.2515 0.9669 [4 per cell]  3 O 1.39
B: 0.4756 0.2518 0.6362 [4 per cell]  3 O 1.38-1.39
O: 0.0727 0.2500 0.7445 [4 per cell]  1 B 1.39
O: 0.0880 0.0000 0.1081 [2 per cell]  1 B 1.39
O: 0.0878 0.5000 0.1097 [2 per cell]  1 B 1.39
O: 0.0997 0.0000 0.4110 [2 per cell]  1 B 1.39
O: 0.1025 0.5000 0.4157 [2 per cell]  1 B 1.39
O: 0.2395 0.0000 0.3870 [2 per cell]  1 B 1.39
O: 0.2405 0.5000 0.3859 [2 per cell]  1 B 1.39
O: 0.2514 0.2504 0.0471 [4 per cell]  1 B 1.39
O: 0.2689 0.2494 0.7735 [4 per cell]  1 B 1.39
O: 0.4053 0.2535 0.0806 [4 per cell]  1 B 1.39
O: 0.4215 0.2501 0.7222 [4 per cell]  1 B 1.39
O: 0.4329 0.2537 0.4430 [4 per cell]  1 B 1.38

Output
**Total moment**: 0.6944 μB/atom
**MP2020-corrected energy**: -7.69 eV/atom
**Calculated formation energy**: -2.357 eV/atom